PBE Al2PbS4, optimized geometry; E_tot = -4.911 eV/atom; space group = No. 66
1.0
-4.291 3.490 -2.485
-0.958 -5.903 0.998
-3.770 2.245 9.664
S Al Pb
8 4 2
direct
0.000 0.500 0.338 S
0.179 0.355 0.000 S
0.500 0.000 0.838 S
0.821 0.645 0.000 S
0.500 0.000 0.162 S
0.645 0.821 0.500 S
0.000 0.500 0.662 S
0.355 0.179 0.500 S
0.760 0.238 0.000 Al
0.762 0.240 0.500 Al
0.240 0.762 0.000 Al
0.238 0.760 0.500 Al
0.500 0.500 0.750 Pb
0.500 0.500 0.250 Pb

PBE SrAl2Pb2, optimized geometry; E_tot = -3.385 eV/atom; space group = No. 139; total moment = 0.0 Bohr magnetons per cell
1.0
-2.278 2.278 7.070
2.278 -2.278 7.070
2.278 2.278 -7.070
Pb Al Sr
2 2 1
direct
0.379 0.379 0.000 Pb
0.621 0.621 0.000 Pb
0.250 0.750 0.500 Al
0.750 0.250 0.500 Al
0.000 0.000 0.000 Sr

PBE AlTc2Pb, optimized geometry; E_tot = -6.504 eV/atom; space group = No. 216; total moment = 0.0 Bohr magnetons per cell
1.0
0.000 3.253 3.253
3.253 0.000 3.253
3.253 3.253 0.000
Tc Pb Al
2 1 1
direct
0.250 0.250 0.250 Tc
0.000 0.000 0.000 Tc
0.500 0.500 0.500 Pb
0.750 0.750 0.750 Al

PBE Zr5AlPb3, optimized geometry; E_tot = -6.752 eV/atom; space group = No. 193
1.0
0.401 8.858 -0.366
-6.906 -3.972 3.911
2.910 0.084 5.224
Al Pb Zr
2 6 10
direct
0.000 0.000 0.500 Al
0.000 0.000 0.000 Al
0.613 0.000 0.750 Pb
0.387 0.387 0.750 Pb
0.613 0.613 0.250 Pb
0.000 0.613 0.750 Pb
0.000 0.387 0.250 Pb
0.387 0.000 0.250 Pb
0.735 0.735 0.750 Zr
0.667 0.333 0.000 Zr
0.735 0.000 0.250 Zr
0.333 0.667 0.000 Zr
0.265 0.265 0.250 Zr
0.000 0.265 0.750 Zr
0.000 0.735 0.250 Zr
0.667 0.333 0.500 Zr
0.265 0.000 0.750 Zr
0.333 0.667 0.500 Zr

PBE AlPd, optimized geometry; E_tot = -5.377 eV/atom; space group = No. 198
1.0
4.909 0.000 0.000
0.000 4.909 0.000
0.000 0.000 4.909
Al Pd
4 4
direct
0.344 0.656 0.156 Al
0.844 0.844 0.844 Al
0.156 0.344 0.656 Al
0.656 0.156 0.344 Al
0.147 0.147 0.147 Pd
0.853 0.647 0.353 Pd
0.353 0.853 0.647 Pd
0.647 0.353 0.853 Pd

PBE AlPd, optimized geometry; E_tot = -5.368 eV/atom; space group = No. 148
1.0
4.888 -7.890 0.000
4.888 7.890 0.000
-7.850 0.000 4.952
Pd Al
13 13
direct
0.403 0.156 0.446 Pd
0.597 0.844 0.554 Pd
0.844 0.554 0.597 Pd
0.655 0.252 0.099 Pd
0.554 0.597 0.844 Pd
0.156 0.446 0.403 Pd
0.345 0.748 0.901 Pd
0.099 0.655 0.252 Pd
0.446 0.403 0.156 Pd
0.748 0.901 0.345 Pd
0.252 0.099 0.655 Pd
0.000 0.000 0.000 Pd
0.901 0.345 0.748 Pd
0.599 0.155 0.753 Al
0.401 0.845 0.247 Al
0.098 0.346 0.055 Al
0.155 0.753 0.599 Al
0.902 0.654 0.945 Al
0.945 0.902 0.654 Al
0.753 0.599 0.155 Al
0.654 0.945 0.902 Al
0.500 0.500 0.500 Al
0.247 0.401 0.845 Al
0.845 0.247 0.401 Al
0.346 0.055 0.098 Al
0.055 0.098 0.346 Al

PBE Al3Pd2, optimized geometry; E_tot = -5.092 eV/atom; space group = No. 164
1.0
-2.121 -3.673 0.000
-2.121 3.673 0.000
0.000 0.000 -5.221
Al Pd
3 2
direct
0.000 0.000 0.000 Al
0.667 0.333 0.645 Al
0.333 0.667 0.355 Al
0.667 0.333 0.158 Pd
0.333 0.667 0.842 Pd

PBE Al2Pd, optimized geometry; E_tot = -4.841 eV/atom; space group = No. 225
1.0
-0.508 -4.151 0.421
-2.475 -2.097 -2.673
1.693 -2.621 -2.817
Al Pd
2 1
direct
0.250 0.250 0.250 Al
0.750 0.750 0.750 Al
0.000 0.000 0.000 Pd

PBE Al3Pd, optimized geometry; E_tot = -4.450 eV/atom; space group = No. 221; total moment = 0.0 Bohr magnetons per cell
1.0
-2.835 2.481 1.177
0.819 -0.851 3.766
2.621 2.949 0.097
Pd Al
1 3
direct
0.000 0.000 0.000 Pd
0.000 0.500 0.500 Al
0.500 0.000 0.500 Al
0.500 0.500 0.000 Al

PBE AlPd2, optimized geometry; E_tot = -5.533 eV/atom; space group = No. 62
1.0
-3.297 0.154 -2.468
0.988 -5.135 -1.641
-4.493 -2.728 5.832
Al Pd
4 8
direct
0.250 0.697 0.395 Al
0.750 0.303 0.605 Al
0.250 0.197 0.105 Al
0.750 0.803 0.895 Al
0.250 0.041 0.789 Pd
0.250 0.541 0.711 Pd
0.750 0.334 0.933 Pd
0.750 0.959 0.211 Pd
0.750 0.459 0.289 Pd
0.750 0.834 0.567 Pd
0.250 0.166 0.433 Pd
0.250 0.666 0.067 Pd

PBE Al21Pd8, optimized geometry; E_tot = -4.701 eV/atom; space group = No. 88
1.0
-6.540 6.540 5.388
6.540 -6.540 5.388
6.540 6.540 -5.388
Al Pd
42 16
direct
0.008 0.936 0.493 Al
0.117 0.451 0.521 Al
0.701 0.680 0.834 Al
0.612 0.946 0.161 Al
0.250 0.750 0.500 Al
0.064 0.557 0.072 Al
0.196 0.535 0.835 Al
0.802 0.011 0.773 Al
0.846 0.867 0.166 Al
0.511 0.654 0.964 Al
0.320 0.154 0.021 Al
0.797 0.261 0.357 Al
0.346 0.310 0.857 Al
0.404 0.883 0.334 Al
0.560 0.203 0.464 Al
0.739 0.096 0.536 Al
0.443 0.515 0.507 Al
0.785 0.451 0.839 Al
0.765 0.758 0.572 Al
0.549 0.388 0.335 Al
0.549 0.070 0.666 Al
0.186 0.193 0.428 Al
0.971 0.198 0.209 Al
0.238 0.029 0.227 Al
0.930 0.596 0.479 Al
0.448 0.739 0.727 Al
0.904 0.440 0.643 Al
0.453 0.489 0.143 Al
0.242 0.814 0.007 Al
0.133 0.299 0.979 Al
0.989 0.762 0.791 Al
0.485 0.992 0.928 Al
0.465 0.299 0.661 Al
0.054 0.215 0.665 Al
0.690 0.547 0.036 Al
0.261 0.988 0.709 Al
0.701 0.362 0.165 Al
0.000 0.000 0.000 Al
0.807 0.235 0.993 Al
0.012 0.721 0.273 Al
0.638 0.804 0.339 Al
0.279 0.552 0.291 Al
0.536 0.812 0.537 Pd
0.188 0.725 0.724 Pd
0.557 0.243 0.886 Pd
0.921 0.307 0.814 Pd
0.062 0.025 0.776 Pd
0.693 0.507 0.614 Pd
0.275 0.998 0.463 Pd
0.757 0.643 0.314 Pd
0.493 0.107 0.186 Pd
0.357 0.671 0.114 Pd
0.002 0.464 0.276 Pd
0.714 0.938 0.963 Pd
0.893 0.079 0.386 Pd
0.975 0.752 0.037 Pd
0.329 0.443 0.686 Pd
0.248 0.286 0.224 Pd

PBE AlPd, optimized geometry; E_tot = -5.338 eV/atom; space group = No. 221
1.0
-2.143 0.115 2.206
-2.068 -1.185 -1.947
0.777 -2.838 0.902
Al Pd
1 1
direct
0.000 0.000 0.000 Al
0.500 0.500 0.500 Pd

E_form (computed, eV/atom): -1.23, -0.06, 0.54, -0.35, -0.91, -0.90, -0.77, -0.62, -0.35, -0.83, -0.56, -0.88